52
Lattice="0.1097 0.0000 5.2889 8.9497 0.0008 0.2168 0.0011 12.9453 0.0001" Properties=species:S:1:pos:R:3 comment="Na3MnSiBO7, optimized geometry, DFT GGA+U" delta_e_f_mev_per_atom=-2468.9 pbc="T T T"
Na 0.8285 1.6190 4.0786
O 2.9294 2.9015 4.2323
O 0.7348 8.0915 1.6795
Na 0.8295 8.0915 4.0787
Na 2.3843 9.6396 1.4019
O 6.1308 10.0448 1.2734
O 2.9308 0.3340 4.2282
O 4.7316 11.3244 3.2031
B 8.3681 1.6196 1.6653
O 1.6925 4.8538 2.8482
O 7.7576 8.0907 0.3995
O 0.7336 1.6189 1.6795
O 1.3036 11.3277 5.1061
Mn 3.0811 11.3261 4.2184
Na 2.3832 3.1669 1.4018
Na 2.3832 6.5426 1.4022
Na 6.6764 3.3069 4.1039
O 8.3259 4.8548 3.8269
O 6.1307 3.5721 1.2737
B 0.6922 11.3272 3.8405
B 8.3687 8.0917 1.6651
O 3.7953 11.3284 0.6775
O 7.7568 1.6190 0.3996
Si 3.9226 8.0909 3.9103
Mn 5.9801 1.6195 1.2876
Na 8.2311 4.8544 1.4272
O 6.1297 12.6125 1.2774
O 8.3264 11.3280 3.8268
O 2.9301 9.3739 4.2318
O 3.7950 4.8557 0.6780
O 7.3678 8.0920 2.6574
O 5.2654 8.0903 4.8277
O 1.6929 11.3265 2.8478
Na 6.6773 6.4033 4.1030
O 4.7314 4.8516 3.2033
O 1.3031 4.8550 5.1062
Si 5.1384 11.3276 1.5949
Na 6.6778 12.8764 4.1036
B 0.6917 4.8544 3.8407
O 4.3290 1.6226 2.3028
O 7.3672 1.6201 2.6578
Si 3.9222 1.6188 3.9108
Mn 3.0803 4.8536 4.2185
Na 2.3822 0.0699 1.4021
O 6.1290 6.1394 1.2771
Na 6.6767 9.7795 4.1034
Mn 5.9805 8.0911 1.2869
O 4.3294 8.0941 2.3021
Na 8.2316 11.3275 1.4272
Si 5.1378 4.8546 1.5952
O 5.2649 1.6183 4.8282
O 2.9314 6.8063 4.2286



42
Lattice="7.4838 0.0000 0.0000 -2.6434 7.9066 0.0000 -2.4308 -1.3071 9.4529" Properties=species:S:1:pos:R:3 comment="MnB4O16, optimized geometry, DFT GGA+U" space_group="No. 2" delta_e_f_mev_per_atom=-668.8 pbc="T T T"
O -2.9620 1.5376 8.4307
O 6.4092 0.5873 0.7218
O 4.5524 0.6503 6.1735
Mn 0.5033 5.8117 7.0952
B -2.0769 2.5869 8.6054
O 5.4008 0.8953 3.9683
O -0.7525 1.6268 5.7973
O -0.9645 6.4404 7.1786
O 1.4212 1.1921 7.2305
O 1.5711 1.9978 1.1599
O 3.1621 4.9727 3.6556
O 3.5058 6.3825 1.7770
O -1.8254 7.4579 1.4291
O 5.3716 5.0618 1.0222
B 4.4865 4.0126 0.8475
O 0.8385 4.6017 8.2931
O 2.0915 1.8526 6.4529
O 2.1513 2.2102 3.5349
B -0.6583 1.4542 7.1713
O 4.2350 -0.8584 8.0238
O -1.0962 0.2170 7.6759
O 2.2816 4.4149 6.6625
O 1.3598 6.1330 5.5850
B 4.3314 5.5597 4.1427
O 1.0498 0.4665 3.8679
O -2.3882 3.7581 9.2473
B 3.0679 5.1453 2.2816
O -2.9912 5.7042 5.4847
O 0.2583 4.3893 5.9180
O 3.2026 4.0602 1.4196
B -1.9218 1.0398 5.3103
O 0.1280 2.1846 2.7904
O 4.7978 2.8414 0.2056
O -3.9996 6.0122 8.7311
B -2.4927 6.2329 1.8786
B 4.9023 0.3666 7.5743
O -2.1428 5.9492 3.2794
O 3.3741 0.1591 2.2743
O 0.3181 4.7469 3.0000
O 0.9884 5.4074 2.2224
O -0.7930 2.5393 8.0334
Mn 1.9063 0.7877 2.3577



42
Lattice="7.6644 0.0000 0.0000 -0.0819 8.5807 0.0000 -3.2982 -2.8395 11.1162" Properties=species:S:1:pos:R:3 comment="MnB4O16, optimized geometry, DFT GGA+U" space_group="No. 2" delta_e_f_mev_per_atom=-836.3 pbc="T T T"
O 2.4797 3.7679 10.5617
O -1.2272 -0.1869 4.6706
O 1.8046 1.9732 0.5545
Mn 5.7065 0.9380 3.8113
O -0.5800 5.4087 8.7806
B 1.1233 6.1601 2.2932
O 1.7679 3.2504 0.1164
B 3.8188 4.5259 3.0169
O 1.0349 7.4552 1.6346
O 1.4439 -0.0906 2.4088
O -0.6617 3.6155 6.5526
O 5.2552 4.5614 2.7909
O 4.8643 0.3324 2.3356
O 1.1370 5.1434 1.3588
O 2.8404 5.8317 8.7075
Mn -1.4222 4.8032 7.3049
O 5.5115 5.9281 6.4457
O 3.1473 0.5977 9.7574
B 2.2358 1.5872 9.9073
O 4.9460 2.1256 4.5636
O 6.7215 1.5608 2.4575
O -1.4243 4.5718 9.6333
O 6.0231 4.7167 3.8655
O -1.7388 1.0244 7.2507
O 3.2907 4.9848 4.1439
O 0.9935 0.7563 6.9723
B 1.9945 5.3882 4.5718
O 2.5163 2.4907 10.9999
O 5.7085 1.1693 1.4830
O 1.0702 1.7260 9.2281
O -2.4372 4.1803 8.6588
O 1.2104 6.0614 3.6086
O 3.0739 -0.3202 7.5076
O 2.6985 0.5265 5.3093
B 3.1610 -0.4189 8.8230
B 2.2897 0.3529 6.5444
B 0.4655 1.2152 8.0994
B 2.0485 4.1539 1.2090
O 1.5858 5.2146 5.8070
O -0.9709 1.1797 8.3253
O 3.2141 4.0151 1.8882
O 3.2494 -1.7141 9.4816



42
Lattice="-2.7996 6.8200 -1.4982 -6.5627 -5.3747 -0.1595 0.8213 1.0854 11.1832" Properties=species:S:1:pos:R:3 comment="MnB4O16, optimized geometry, DFT GGA+U" space_group="No. 2" delta_e_f_mev_per_atom=-769.5 pbc="T T T"
O -5.3728 1.7427 0.6413
O -6.2884 1.7789 6.6086
O -2.6806 5.7954 -0.0046
Mn -1.5302 1.9427 1.5983
O -1.4858 3.3808 2.2689
O -5.8066 -0.1605 1.8521
O -5.7122 -0.5743 3.2208
B -7.5322 2.9560 2.8869
O -2.0585 0.4808 6.7515
O -3.4149 1.0796 3.3224
O -3.4844 5.9165 3.9045
O -2.7344 2.6911 7.6734
O -7.6992 1.2662 0.8757
B -5.2559 -4.1280 2.0097
O -6.1306 0.8181 9.2293
O -6.5933 -0.1840 4.0036
O -5.4385 -3.4169 3.2915
Mn -7.0108 0.5879 7.9273
O -3.1682 0.7879 8.8843
O -1.9477 2.7147 5.5219
O -6.4985 -4.1679 1.2302
O -2.8288 3.1049 6.3048
O -3.1025 5.9475 6.2341
O -5.0567 -3.3859 5.6211
B -5.7006 2.7947 -0.2055
O -1.5549 -0.7441 9.8130
O -6.4825 2.0499 2.7741
O -3.8891 -0.8013 10.4336
B -6.3735 1.2761 1.5552
O -7.0552 -0.8501 7.2567
B -1.0088 -0.4254 6.6387
B -3.2851 6.6586 7.5158
O -0.8418 1.2644 8.6499
O -6.9861 3.2747 -0.2874
B -2.8404 -0.2640 9.7311
O -2.2526 0.7517 2.9169
B -2.1675 1.2545 7.9704
O -5.1261 1.4510 6.2031
O -5.8604 -3.2648 9.5302
O -2.0425 6.6985 8.2953
O -4.6519 3.3319 -0.9080
O -2.4104 1.7125 0.2963



42
Lattice="7.0913 0.0000 0.0000 -1.6299 7.9037 0.0000 -2.2582 -1.8858 10.6383" Properties=species:S:1:pos:R:3 comment="MnB4O16, optimized geometry, DFT GGA+U" space_group="No. 2" delta_e_f_mev_per_atom=-631.1 pbc="T T T"
O 2.3627 1.4144 0.9501
O 0.8406 4.6035 9.6881
O -0.8233 -0.4170 8.5651
O 1.6978 2.0549 3.6364
O -0.3853 1.0541 6.7332
O 2.9882 -0.2241 3.0008
O 0.5529 1.4830 3.3430
O 5.2425 0.6410 4.9386
O 5.8660 0.3394 1.2235
O 1.4547 0.4050 8.2476
O 3.5886 4.9638 3.9051
B 4.8189 -0.0823 8.5654
O -2.6627 5.6785 9.4147
O 0.6443 4.4681 3.8191
O -0.9122 7.3082 1.5573
O 2.6504 4.5350 7.2953
B 4.6839 4.0403 0.9987
O -1.6312 3.0916 10.4253
O 4.0266 6.4350 2.0732
O 2.5589 1.5498 6.8192
O 1.7485 5.6130 2.3907
O -1.2708 5.8245 3.4862
O 4.8345 2.9264 0.2130
O -0.2610 1.8769 8.9883
O 5.6887 4.9732 1.1825
O 3.4643 4.1411 1.6500
B -1.6291 0.6180 6.2836
O 1.5055 3.9631 7.0019
B -1.6156 6.1003 2.0729
Mn 1.3635 5.4139 8.4291
O 4.4741 0.1935 7.1521
O 1.4528 0.1569 5.8731
B 0.0362 0.7394 8.1372
B 4.8324 5.3999 4.3547
O 4.1154 -1.2902 9.0810
B -1.4807 1.9777 9.6396
O -2.0393 5.3769 5.6997
O 1.7504 5.8611 4.7652
B 3.1670 5.2785 2.5011
O -2.4854 1.0448 9.4558
Mn 1.8398 0.6041 2.2092
O 0.2151 6.2421 7.6375



42
Lattice="4.8306 2.8900 4.8420 1.9938 7.4053 -6.1164 -9.3394 1.8951 2.6707" Properties=species:S:1:pos:R:3 comment="MnB4O16, optimized geometry, DFT GGA+U" space_group="No. 2" delta_e_f_mev_per_atom=-1023.8 pbc="T T T"
O -1.5620 8.5173 1.4015
O -3.7796 6.5944 3.7814
O 3.3379 6.6456 0.5209
B -3.6090 6.0346 5.0392
O -0.1392 6.3024 -4.2038
B -1.2358 5.8678 4.7126
O -4.8714 4.8464 1.1767
O -2.9303 7.8293 2.0209
O 2.3564 7.3441 0.2196
O -1.1354 5.5134 -2.1219
O 0.3492 8.5679 -2.6921
B -1.4774 3.4655 4.1161
O -4.7239 5.6353 5.7673
O -1.8729 9.4263 0.6285
O 2.4323 5.2969 2.5692
B -1.2792 6.3227 -3.3163
Mn 2.9308 3.7803 2.6193
O -0.6421 2.7642 0.7678
B -1.0376 8.7250 -2.7198
O -1.3795 6.6770 3.5183
B 1.0940 6.1559 -3.6429
O -0.7324 4.5374 4.4416
B 0.1173 5.1634 -1.7182
O 2.2923 8.6695 0.7016
O -5.8529 5.5449 0.8755
O 2.1198 2.9819 3.7187
O -2.8642 3.6226 4.0885
O 1.2646 5.5961 -2.3851
O -1.7825 7.6531 -3.0453
Mn -5.4457 8.4101 -1.2229
B -2.6323 7.0271 3.1146
O -2.3758 5.8881 5.6001
O 2.7529 3.1068 1.1959
O -3.7067 2.4910 3.7160
O -4.8073 3.5210 0.6948
O -4.9473 6.8935 -1.1728
O -4.6348 9.2085 -2.3224
O 0.4153 4.3612 -0.6245
O 1.1917 9.6995 -2.3197
O -0.9530 3.6732 -0.0052
O 2.2090 6.5552 -4.3710
O -5.2679 9.0837 0.2004



96
Lattice="-1.6377 7.8525 -1.8587 1.6874 -1.6569 -8.4869 -13.6354 -3.3316 -2.0606" Properties=species:S:1:pos:R:3 comment="MnB4O7, optimized geometry, DFT GGA+U" space_group="No. 61" delta_e_f_mev_per_atom=-2753.7 pbc="T T T"
O -5.3122 2.5549 -7.5119
O -7.0373 -2.4013 -8.6923
O -3.0483 1.7040 -7.1496
O -14.6979 3.0408 -4.5647
O 1.1122 -0.1768 -7.8415
B -6.9501 5.4216 -5.1001
B -2.9257 3.2092 -1.8729
O -5.4381 -0.2335 -1.5027
B -8.0873 1.1863 -3.7527
Mn -12.0291 2.4887 -11.0371
B -7.2211 3.1648 -9.9204
O -7.4235 4.2581 -5.8315
B -0.7751 5.1956 -7.0205
B -10.0920 0.0492 -8.0946
O -2.0348 -0.7915 -4.1659
B -3.4937 2.8148 -4.3116
O -0.5316 -1.8335 -7.9148
Mn -5.6912 4.6255 -7.5938
B -12.1730 -2.1714 -9.8631
B -12.3020 4.3108 -7.1958
B -6.6356 -2.5576 -7.3061
Mn -7.4812 -0.5264 -9.5442
O -11.8105 1.6836 -3.3340
B -13.9055 3.8911 -5.4376
O -2.0013 5.4225 -6.4966
O -0.0013 1.9453 -3.9042
O -4.1319 4.7309 -10.2340
O -7.4870 2.4932 -4.1973
B -9.1450 0.9558 -5.9131
Mn -1.5566 0.3753 -1.3691
O -10.4045 3.7395 -10.3067
O -6.3100 2.1360 -9.7687
O -13.0331 3.2725 -6.4191
O -8.1476 3.0975 -10.9035
Mn -6.1045 3.3904 -2.8620
B -6.3646 -0.3008 -2.4858
O -5.7539 5.8895 -5.8879
O -6.4009 -1.3969 -3.3509
O -7.2757 0.7280 -2.6375
O -0.5526 -0.4085 -5.9870
O -10.5374 1.1600 -5.2566
Mn -1.1432 1.6104 -6.1010
B -10.4810 4.0805 -8.9590
O -4.9366 0.5790 -6.1346
O -6.0987 0.3708 -8.2088
O -13.0541 4.6975 -4.4914
O -6.1622 -1.3941 -6.5747
B -3.1047 -1.2165 -3.4472
O -8.6491 2.2850 -6.2716
B -1.2837 -1.4468 -5.2104
O -1.7751 1.1804 -9.0722
B -7.5030 -3.7002 -9.2506
O -2.5027 4.6100 -1.8647
B -1.1319 2.7169 -3.4152
O -0.3433 5.9033 -8.1447
O -11.5844 -2.5585 -5.9096
O -7.8318 -3.0255 -6.5183
O -12.9401 -1.2716 -9.1195
B -6.0827 6.5642 -3.1556
O -11.4487 0.2171 -7.8704
O -9.1941 0.1050 -7.0785
O -11.0829 -1.7460 -10.5415
O -9.6266 -0.1968 -9.3836
O -7.1848 4.2609 -9.0553
O -0.6456 4.1356 -3.2867
O -4.1485 1.4091 -9.2670
B -1.4126 5.0354 -2.5431
B -10.6600 -0.3452 -10.5332
Mn -7.8945 -1.7615 -4.8123
O -3.9590 3.0608 -3.0226
B -10.5995 1.4320 -3.8925
B -4.4407 1.9082 -6.4931
Mn -12.4424 1.2536 -6.3052
O -3.1812 -0.8755 -2.0995
O -8.2735 0.3091 -4.8943
O -9.4537 -1.8669 -2.1722
B -2.9862 1.4321 -8.5137
O -3.8261 5.6403 -8.0727
B -3.3752 5.4633 -9.3780
O -9.7596 -2.7763 -4.3335
O -11.7969 0.5621 -10.2171
O -13.5844 0.9187 -8.5019
B -12.8106 -2.3316 -5.3857
B -12.4538 0.1471 -8.9909
O -13.2423 -3.0393 -4.2615
B -7.8586 3.0047 -5.4429
O -6.5484 5.2653 -3.7139
B 0.3199 -1.0271 -6.9686
O -2.1370 2.6469 -4.5358
B -5.4984 1.6776 -8.6534
O -4.3916 2.7590 -5.3277
O -1.7888 2.3019 -2.1890
B -5.7271 -0.1407 -6.9633
O -9.4372 1.4549 -3.1392
O -11.5509 3.6555 -8.2403
B -10.2105 -2.5993 -3.0282